Record 1
This record from Materials Project describes a relaxed Rb3P3H4O12 crystal. The functional is PBE.

abc: 8.7088 9.7217 9.7820
angles: 119.45 111.73 86.26
Closest atoms and distances in Å follow each position.
Fractional coordinates of all 44 atoms:
Rb (0.5942, 0.3332, 0.8138)  5 O 2.91-3.03, 1 H 3.06
Rb (0.8561, 0.9318, 0.7256)  2 H 2.92-3.22, 8 O 2.98-3.21
O (0.1027, 0.7257, 0.9752)  1 P 1.50
H (0.5075, 0.9143, 0.1174)  1 O 0.99
O (0.5714, 0.7342, 0.9979)  1 P 1.51
P (0.2519, 0.2219, 0.9733)  4 O 1.50-1.62
P (0.9537, 0.6065, 0.8321)  4 O 1.50-1.65
O (0.0206, 0.5717, 0.1968)  2 P 1.63
Rb (0.4058, 0.6668, 0.1862)  5 O 2.91-3.03, 1 H 3.06
Rb (0.2566, 0.6806, 0.6960)  7 O 2.98-3.30
Rb (0.7434, 0.3194, 0.3040)  7 O 2.98-3.30
O (0.8875, 0.5993, 0.6631)  1 P 1.50
O (0.9794, 0.4283, 0.8032)  2 P 1.63
O (0.8973, 0.2743, 0.0248)  1 P 1.50
O (0.2475, 0.3925, 0.7431)  1 P 1.50
O (0.5293, 0.9889, 0.8074)  2 H 0.99-1.00
O (0.4707, 0.0111, 0.1926)  2 H 0.99-1.00
O (0.1125, 0.4007, 0.3369)  1 P 1.50
H (0.2127, 0.8815, 0.4822)  1 O 0.99
H (0.7873, 0.1185, 0.5178)  1 O 0.99
H (0.3781, 0.0362, 0.1143)  1 O 1.00
O (0.7525, 0.6075, 0.2569)  1 P 1.50
O (0.6844, 0.0868, 0.5234)  2 H 0.99
O (0.1202, 0.1960, 0.7921)  2 P 1.62-1.64
H (0.4925, 0.0857, 0.8826)  1 O 0.99
O (0.9695, 0.1971, 0.5203)  1 P 1.50
O (0.7948, 0.6192, 0.8895)  2 P 1.62-1.65
H (0.6219, 0.9638, 0.8857)  1 O 1.00
O (0.0305, 0.8029, 0.4797)  1 P 1.50
O (0.4556, 0.4486, 0.4936)  1 O 1.23
O (0.5444, 0.5514, 0.5064)  1 O 1.23
O (0.4286, 0.2658, 0.0021)  1 P 1.51
O (0.3156, 0.9132, 0.4766)  2 H 0.99
H (0.4025, 0.9429, 0.5899)  1 O 0.99
P (0.7481, 0.7781, 0.0267)  4 O 1.50-1.62
P (0.9136, 0.6953, 0.2986)  4 O 1.50-1.64
H (0.5975, 0.0571, 0.4101)  1 O 0.99
O (0.2113, 0.0785, 0.9812)  1 P 1.50
O (0.7887, 0.9215, 0.0188)  1 P 1.50
P (0.0463, 0.3935, 0.1679)  4 O 1.50-1.65
P (0.0864, 0.3047, 0.7014)  4 O 1.50-1.64
O (0.2052, 0.3808, 0.1105)  2 P 1.62-1.65
O (0.8798, 0.8040, 0.2079)  2 P 1.62-1.64
Rb (0.1439, 0.0682, 0.2744)  2 H 2.92-3.22, 8 O 2.98-3.21

Properties
space group = P-1
formation enthalpy at 0 K = -48.1 eV per formula unit
energy above the lowest structure with this stoichiometry = 0.00 eV per formula unit

Record 2
This record from Materials Project describes a relaxed RbP2H5O8 crystal. The functional is PBE.

abc: 6.5462 6.5462 9.6642
angles: 81.44 81.44 72.77
Closest atoms and distances in Å follow each position.
Fractional coordinates of all 32 atoms:
O (0.3840, 0.7812, 0.8210)  1 H 1.20
H (0.7081, 0.6107, 0.0130)  1 O 1.01
H (0.2919, 0.3893, 0.9870)  1 O 1.01
O (0.6465, 0.7307, 0.1589)  1 P 1.52, 2 H 1.54-1.66
H (0.0771, 0.5572, 0.3272)  1 O 1.03
O (0.7424, 0.5567, 0.9171)  1 H 1.01
O (0.5567, 0.7424, 0.4171)  1 H 1.01
O (0.3535, 0.2693, 0.8411)  1 P 1.52, 2 H 1.54-1.66
H (0.3078, 0.6922, 0.7500)  2 O 1.20
O (0.4433, 0.2576, 0.5829)  1 H 1.01
O (0.6895, 0.9441, 0.8186)  1 H 1.03
P (0.2683, 0.3685, 0.7008)  4 O 1.52-1.59
Rb (0.0000, 0.0000, 0.5000)  4 O 2.95-3.01
H (0.5572, 0.0771, 0.8272)  1 O 1.03
O (0.7307, 0.6465, 0.6589)  1 P 1.52, 2 H 1.54-1.66
H (0.6107, 0.7081, 0.5130)  1 O 1.01
H (0.9229, 0.4428, 0.6728)  1 O 1.03
O (0.9441, 0.6895, 0.3186)  1 H 1.03
H (0.4428, 0.9229, 0.1728)  1 O 1.03
O (0.2188, 0.6160, 0.6790)  1 H 1.20
Rb (0.0000, 0.0000, 0.0000)  4 O 2.95-3.01
O (0.3105, 0.0559, 0.1814)  1 H 1.03
O (0.0559, 0.3105, 0.6814)  1 H 1.03
P (0.3685, 0.2683, 0.2008)  4 O 1.52-1.59
O (0.2693, 0.3535, 0.3411)  1 P 1.52, 2 H 1.54-1.66
O (0.7812, 0.3840, 0.3210)  1 H 1.20
H (0.6922, 0.3078, 0.2500)  2 O 1.20
O (0.2576, 0.4433, 0.0829)  1 H 1.01
P (0.6315, 0.7317, 0.7992)  4 O 1.52-1.59
H (0.3893, 0.2919, 0.4870)  1 O 1.01
O (0.6160, 0.2188, 0.1790)  1 H 1.20
P (0.7317, 0.6315, 0.2992)  4 O 1.52-1.59

Properties
space group = C2/c
formation enthalpy at 0 K = -32.7 eV per formula unit